[1]
{
  "formula": "Li4MnCo2O7",
  "functional": "PBE+U",
  "state": "relaxed",
  "cell": [[9.803, -1.454, 0.000], [9.803, 1.454, 0.000], [-3.908, 0.000, 8.996]],
  "species": ["Li", "Li", "Li", "Li", "Li", "Li", "Li", "Li", "Mn", "Mn", "Co", "Co", "Co", "Co", "O", "O", "O", "O", "O", "O", "O", "O", "O", "O", "O", "O", "O", "O"],
  "frac_coords": [[0.000, 0.000, 0.000], [0.140, 0.140, 0.566], [0.296, 0.296, 0.144], [0.434, 0.434, 0.718], [0.506, 0.506, 0.503], [0.571, 0.571, 0.288], [0.718, 0.718, 0.846], [0.876, 0.876, 0.452], [0.219, 0.219, 0.356], [0.643, 0.643, 0.061], [0.067, 0.067, 0.761], [0.360, 0.360, 0.936], [0.794, 0.794, 0.648], [0.942, 0.942, 0.239], [0.036, 0.036, 0.382], [0.111, 0.111, 0.157], [0.177, 0.177, 0.973], [0.260, 0.260, 0.744], [0.324, 0.324, 0.542], [0.400, 0.400, 0.315], [0.461, 0.461, 0.115], [0.549, 0.549, 0.896], [0.611, 0.611, 0.688], [0.688, 0.688, 0.454], [0.741, 0.741, 0.240], [0.826, 0.826, 0.029], [0.893, 0.893, 0.830], [0.975, 0.975, 0.623]],
  "volume_a3_per_atom": 9.2,
  "magnetic_moment_mub_per_fu": 0.57,
  "formation_enthalpy_0k_ev_per_fu": -23.6,
  "e_above_lowest_polymorph_mev_per_atom": 200.3
}

[2]
{
  "formula": "Li7Mn2Co3O12",
  "functional": "PBE+U",
  "state": "relaxed",
  "cell": [[4.987, 0.000, 0.000], [0.808, 6.447, 0.000], [1.138, 0.505, 6.702]],
  "species": ["Li", "Li", "Li", "Li", "Li", "Li", "Li", "Mn", "Mn", "Co", "Co", "Co", "O", "O", "O", "O", "O", "O", "O", "O", "O", "O", "O", "O"],
  "frac_coords": [[0.000, 0.000, 0.000], [0.000, 0.351, 0.667], [0.251, 0.592, 0.920], [0.491, 0.833, 0.163], [0.501, 0.513, 0.504], [0.504, 0.182, 0.844], [0.996, 0.674, 0.330], [0.247, 0.265, 0.246], [0.749, 0.092, 0.418], [0.250, 0.920, 0.591], [0.748, 0.430, 0.079], [0.748, 0.749, 0.763], [0.089, 0.650, 0.635], [0.112, 0.300, 0.995], [0.117, 0.983, 0.298], [0.377, 0.213, 0.515], [0.382, 0.528, 0.210], [0.407, 0.879, 0.855], [0.607, 0.160, 0.123], [0.607, 0.820, 0.458], [0.635, 0.485, 0.788], [0.856, 0.696, 0.042], [0.891, 0.026, 0.715], [0.891, 0.363, 0.380]],
  "volume_a3_per_atom": 9.0,
  "magnetic_moment_mub_per_fu": 10.00,
  "formation_enthalpy_0k_ev_per_fu": -44.6,
  "e_above_lowest_polymorph_mev_per_atom": 74.0
}

[3]
{
  "formula": "Li7Mn4CoO12",
  "functional": "PBE+U",
  "state": "relaxed",
  "cell": [[3.002, 0.000, 0.000], [-1.069, 7.567, 0.000], [-1.014, -0.475, 9.703]],
  "species": ["Li", "Li", "Li", "Li", "Li", "Li", "Li", "Mn", "Mn", "Mn", "Mn", "Co", "O", "O", "O", "O", "O", "O", "O", "O", "O", "O", "O", "O"],
  "frac_coords": [[0.000, 0.000, 0.000], [0.080, 0.418, 0.745], [0.221, 0.238, 0.234], [0.397, 0.076, 0.747], [0.567, 0.919, 0.230], [0.743, 0.745, 0.747], [0.911, 0.583, 0.242], [0.154, 0.830, 0.492], [0.488, 0.497, 0.492], [0.650, 0.324, 0.992], [0.820, 0.164, 0.492], [0.322, 0.677, 0.988], [0.071, 0.224, 0.884], [0.143, 0.627, 0.609], [0.166, 0.033, 0.375], [0.243, 0.452, 0.094], [0.350, 0.849, 0.876], [0.478, 0.294, 0.610], [0.501, 0.700, 0.374], [0.625, 0.142, 0.110], [0.679, 0.538, 0.881], [0.811, 0.962, 0.611], [0.833, 0.368, 0.375], [0.952, 0.772, 0.105]],
  "volume_a3_per_atom": 9.2,
  "magnetic_moment_mub_per_fu": 16.00,
  "formation_enthalpy_0k_ev_per_fu": -48.3,
  "e_above_lowest_polymorph_mev_per_atom": 71.5
}

[4]
{
  "formula": "Li4MnCo2O7",
  "functional": "PBE+U",
  "state": "relaxed",
  "cell": [[16.981, -1.458, 0.000], [16.981, 1.458, 0.000], [-0.410, 0.000, 5.195]],
  "species": ["Li", "Li", "Li", "Li", "Li", "Li", "Li", "Li", "Mn", "Mn", "Co", "Co", "Co", "Co", "O", "O", "O", "O", "O", "O", "O", "O", "O", "O", "O", "O", "O", "O"],
  "frac_coords": [[0.000, 0.000, 0.000], [0.069, 0.069, 0.360], [0.212, 0.212, 0.070], [0.360, 0.360, 0.787], [0.500, 0.500, 0.500], [0.640, 0.640, 0.213], [0.788, 0.788, 0.930], [0.931, 0.931, 0.640], [0.287, 0.287, 0.423], [0.713, 0.713, 0.577], [0.139, 0.139, 0.720], [0.434, 0.434, 0.127], [0.566, 0.566, 0.873], [0.861, 0.861, 0.280], [0.039, 0.039, 0.685], [0.106, 0.106, 0.016], [0.182, 0.182, 0.409], [0.247, 0.247, 0.724], [0.322, 0.322, 0.124], [0.389, 0.389, 0.450], [0.463, 0.463, 0.841], [0.537, 0.537, 0.159], [0.611, 0.611, 0.550], [0.678, 0.678, 0.876], [0.753, 0.753, 0.276], [0.818, 0.818, 0.591], [0.894, 0.894, 0.984], [0.961, 0.961, 0.315]],
  "volume_a3_per_atom": 9.2,
  "magnetic_moment_mub_per_fu": 7.00,
  "formation_enthalpy_0k_ev_per_fu": -25.1,
  "e_above_lowest_polymorph_mev_per_atom": 90.1
}

[5]
{
  "formula": "Li4MnCo2O7",
  "functional": "PBE+U",
  "state": "relaxed",
  "cell": [[10.641, -1.462, 0.000], [10.641, 1.462, 0.000], [-1.730, 0.000, 8.158]],
  "species": ["Li", "Li", "Li", "Li", "Li", "Li", "Li", "Li", "Mn", "Mn", "Co", "Co", "Co", "Co", "O", "O", "O", "O", "O", "O", "O", "O", "O", "O", "O", "O", "O", "O"],
  "frac_coords": [[0.000, 0.000, 0.000], [0.000, 0.000, 0.500], [0.140, 0.140, 0.570], [0.289, 0.289, 0.148], [0.432, 0.432, 0.702], [0.568, 0.568, 0.298], [0.711, 0.711, 0.852], [0.860, 0.860, 0.430], [0.142, 0.142, 0.070], [0.858, 0.858, 0.930], [0.285, 0.285, 0.636], [0.433, 0.433, 0.240], [0.567, 0.567, 0.760], [0.715, 0.715, 0.364], [0.005, 0.005, 0.760], [0.139, 0.139, 0.840], [0.148, 0.148, 0.310], [0.281, 0.281, 0.391], [0.294, 0.294, 0.897], [0.419, 0.419, 0.958], [0.426, 0.426, 0.451], [0.574, 0.574, 0.549], [0.581, 0.581, 0.042], [0.706, 0.706, 0.103], [0.719, 0.719, 0.609], [0.852, 0.852, 0.690], [0.861, 0.861, 0.160], [0.995, 0.995, 0.240]],
  "volume_a3_per_atom": 9.1,
  "magnetic_moment_mub_per_fu": 7.00,
  "formation_enthalpy_0k_ev_per_fu": -25.7,
  "e_above_lowest_polymorph_mev_per_atom": 47.6
}

[6]
{
  "formula": "Li4MnCo2O7",
  "functional": "PBE+U",
  "state": "relaxed",
  "cell": [[3.026, 0.000, 0.000], [0.126, 8.037, 0.000], [0.606, 2.127, 10.458]],
  "species": ["Li", "Li", "Li", "Li", "Li", "Li", "Li", "Li", "Mn", "Mn", "Co", "Co", "Co", "Co", "O", "O", "O", "O", "O", "O", "O", "O", "O", "O", "O", "O", "O", "O"],
  "frac_coords": [[0.000, 0.000, 0.000], [0.001, 0.500, 0.000], [0.142, 0.573, 0.715], [0.288, 0.143, 0.428], [0.431, 0.712, 0.139], [0.572, 0.290, 0.861], [0.714, 0.857, 0.572], [0.861, 0.426, 0.283], [0.142, 0.070, 0.715], [0.286, 0.644, 0.427], [0.434, 0.226, 0.136], [0.565, 0.773, 0.864], [0.716, 0.357, 0.572], [0.860, 0.932, 0.284], [0.016, 0.246, 0.010], [0.122, 0.316, 0.708], [0.164, 0.827, 0.722], [0.266, 0.888, 0.421], [0.307, 0.398, 0.436], [0.422, 0.439, 0.147], [0.447, 0.983, 0.151], [0.555, 0.017, 0.853], [0.579, 0.559, 0.855], [0.696, 0.597, 0.566], [0.734, 0.118, 0.575], [0.838, 0.169, 0.276], [0.878, 0.690, 0.287], [0.987, 0.753, 0.989]],
  "volume_a3_per_atom": 9.1,
  "magnetic_moment_mub_per_fu": 8.00,
  "formation_enthalpy_0k_ev_per_fu": -25.2,
  "e_above_lowest_polymorph_mev_per_atom": 82.3
}

[7]
{
  "formula": "Li7Mn2Co3O12",
  "functional": "PBE+U",
  "state": "relaxed",
  "cell": [[5.134, 0.000, 0.000], [1.858, 5.575, 0.000], [1.860, 1.111, 7.364]],
  "species": ["Li", "Li", "Li", "Li", "Li", "Li", "Li", "Mn", "Mn", "Co", "Co", "Co", "O", "O", "O", "O", "O", "O", "O", "O", "O", "O", "O", "O"],
  "frac_coords": [[0.000, 0.000, 0.000], [0.000, 0.500, 0.000], [0.001, 0.334, 0.657], [0.004, 0.829, 0.657], [0.500, 0.500, 0.500], [0.996, 0.171, 0.343], [0.999, 0.666, 0.343], [0.497, 0.662, 0.829], [0.503, 0.338, 0.171], [0.500, 0.000, 0.500], [0.500, 0.167, 0.830], [0.500, 0.833, 0.170], [0.253, 0.973, 0.753], [0.261, 0.331, 0.400], [0.265, 0.648, 0.075], [0.284, 0.845, 0.404], [0.285, 0.491, 0.761], [0.301, 0.164, 0.080], [0.699, 0.836, 0.920], [0.715, 0.509, 0.239], [0.716, 0.155, 0.596], [0.735, 0.352, 0.925], [0.739, 0.669, 0.600], [0.747, 0.027, 0.247]],
  "volume_a3_per_atom": 8.8,
  "magnetic_moment_mub_per_fu": 10.00,
  "formation_enthalpy_0k_ev_per_fu": -45.7,
  "e_above_lowest_polymorph_mev_per_atom": 29.1
}

[8]
{
  "formula": "Li6Mn3CoO10",
  "functional": "PBE+U",
  "state": "relaxed",
  "cell": [[10.911, -1.443, 0.000], [10.911, 1.443, 0.000], [-0.781, 0.000, 5.826]],
  "species": ["Li", "Li", "Li", "Li", "Li", "Li", "Mn", "Mn", "Mn", "Co", "O", "O", "O", "O", "O", "O", "O", "O", "O", "O"],
  "frac_coords": [[0.000, 0.000, 0.000], [0.003, 0.003, 0.515], [0.190, 0.190, 0.598], [0.415, 0.415, 0.221], [0.594, 0.594, 0.794], [0.805, 0.805, 0.410], [0.199, 0.199, 0.110], [0.409, 0.409, 0.709], [0.803, 0.803, 0.907], [0.587, 0.587, 0.313], [0.100, 0.100, 0.545], [0.112, 0.112, 0.083], [0.295, 0.295, 0.131], [0.310, 0.310, 0.685], [0.493, 0.493, 0.751], [0.505, 0.505, 0.251], [0.701, 0.701, 0.885], [0.706, 0.706, 0.334], [0.901, 0.901, 0.484], [0.904, 0.904, 0.934]],
  "volume_a3_per_atom": 9.2,
  "magnetic_moment_mub_per_fu": 14.00,
  "formation_enthalpy_0k_ev_per_fu": -40.1,
  "e_above_lowest_polymorph_mev_per_atom": 53.7
}

[9]
{
  "formula": "Li4Mn3CoO8",
  "functional": "PBE+U",
  "state": "relaxed",
  "cell": [[5.101, -3.076, 0.000], [5.101, 3.076, 0.000], [-1.409, 0.000, 4.843]],
  "species": ["Li", "Li", "Li", "Li", "Mn", "Mn", "Mn", "Co", "O", "O", "O", "O", "O", "O", "O", "O"],
  "frac_coords": [[0.000, 0.500, 0.000], [0.248, 0.248, 0.495], [0.500, 0.000, 0.000], [0.752, 0.752, 0.505], [0.249, 0.751, 0.500], [0.500, 0.500, 0.000], [0.751, 0.249, 0.500], [0.000, 0.000, 0.000], [0.115, 0.115, 0.758], [0.133, 0.639, 0.746], [0.361, 0.867, 0.254], [0.385, 0.385, 0.245], [0.615, 0.615, 0.755], [0.639, 0.133, 0.746], [0.867, 0.361, 0.254], [0.885, 0.885, 0.242]],
  "volume_a3_per_atom": 9.5,
  "magnetic_moment_mub_per_fu": 12.00,
  "formation_enthalpy_0k_ev_per_fu": -31.9,
  "e_above_lowest_polymorph_mev_per_atom": 32.3
}

[10]
{
  "formula": "Li7Mn2Co3O12",
  "functional": "PBE+U",
  "state": "relaxed",
  "cell": [[5.131, 0.000, 0.000], [-1.625, 5.595, 0.000], [-0.842, -1.778, 7.502]],
  "species": ["Li", "Li", "Li", "Li", "Li", "Li", "Li", "Mn", "Mn", "Co", "Co", "Co", "O", "O", "O", "O", "O", "O", "O", "O", "O", "O", "O", "O"],
  "frac_coords": [[0.000, 0.000, 0.000], [0.001, 0.334, 0.312], [0.492, 0.414, 0.164], [0.984, 0.661, 0.674], [0.985, 0.161, 0.671], [0.994, 0.500, 0.004], [0.998, 0.829, 0.321], [0.490, 0.742, 0.494], [0.495, 0.247, 0.495], [0.487, 0.575, 0.842], [0.489, 0.904, 0.158], [0.506, 0.091, 0.849], [0.250, 0.796, 0.915], [0.255, 0.300, 0.901], [0.263, 0.636, 0.264], [0.271, 0.457, 0.568], [0.278, 0.121, 0.261], [0.280, 0.964, 0.579], [0.706, 0.850, 0.736], [0.715, 0.534, 0.427], [0.717, 0.031, 0.423], [0.718, 0.361, 0.734], [0.727, 0.719, 0.081], [0.734, 0.197, 0.067]],
  "volume_a3_per_atom": 9.0,
  "magnetic_moment_mub_per_fu": 10.00,
  "formation_enthalpy_0k_ev_per_fu": -44.9,
  "e_above_lowest_polymorph_mev_per_atom": 61.9
}

[11]
{
  "formula": "Li7Mn2Co3O12",
  "functional": "PBE+U",
  "state": "relaxed",
  "cell": [[4.990, 0.000, 0.000], [-1.607, 4.834, 0.000], [-0.110, -0.093, 8.874]],
  "species": ["Li", "Li", "Li", "Li", "Li", "Li", "Li", "Mn", "Mn", "Co", "Co", "Co", "O", "O", "O", "O", "O", "O", "O", "O", "O", "O", "O", "O"],
  "frac_coords": [[0.000, 0.000, 0.000], [0.000, 0.002, 0.346], [0.000, 0.500, 0.500], [0.000, 0.998, 0.654], [0.493, 0.996, 0.171], [0.500, 0.000, 0.500], [0.507, 0.004, 0.829], [0.003, 0.505, 0.832], [0.997, 0.495, 0.168], [0.493, 0.494, 0.341], [0.500, 0.500, 0.000], [0.507, 0.506, 0.659], [0.229, 0.264, 0.167], [0.237, 0.716, 0.003], [0.241, 0.721, 0.317], [0.250, 0.723, 0.685], [0.257, 0.282, 0.846], [0.276, 0.256, 0.502], [0.724, 0.744, 0.498], [0.743, 0.718, 0.154], [0.750, 0.277, 0.315], [0.759, 0.279, 0.683], [0.763, 0.284, 0.997], [0.771, 0.736, 0.833]],
  "volume_a3_per_atom": 8.9,
  "magnetic_moment_mub_per_fu": 6.00,
  "formation_enthalpy_0k_ev_per_fu": -45.6,
  "e_above_lowest_polymorph_mev_per_atom": 34.6
}

[12]
{
  "formula": "Li7Mn2Co3O12",
  "functional": "PBE+U",
  "state": "relaxed",
  "cell": [[5.053, 0.000, 0.000], [-1.659, 4.831, 0.000], [-0.065, -0.094, 8.786]],
  "species": ["Li", "Li", "Li", "Li", "Li", "Li", "Li", "Mn", "Mn", "Co", "Co", "Co", "O", "O", "O", "O", "O", "O", "O", "O", "O", "O", "O", "O"],
  "frac_coords": [[0.000, 0.000, 0.000], [0.001, 0.002, 0.662], [0.491, 0.998, 0.510], [0.494, 0.496, 0.667], [0.495, 0.996, 0.827], [0.501, 0.000, 0.169], [0.988, 0.993, 0.341], [0.500, 0.503, 0.000], [0.993, 0.490, 0.505], [0.496, 0.497, 0.346], [0.997, 0.500, 0.169], [0.999, 0.500, 0.828], [0.217, 0.730, 0.660], [0.223, 0.720, 0.341], [0.230, 0.266, 0.495], [0.248, 0.277, 0.850], [0.261, 0.730, 0.004], [0.269, 0.283, 0.165], [0.739, 0.726, 0.162], [0.744, 0.277, 0.006], [0.744, 0.717, 0.492], [0.746, 0.720, 0.848], [0.758, 0.264, 0.340], [0.770, 0.262, 0.660]],
  "volume_a3_per_atom": 8.9,
  "magnetic_moment_mub_per_fu": 10.00,
  "formation_enthalpy_0k_ev_per_fu": -45.6,
  "e_above_lowest_polymorph_mev_per_atom": 34.1
}

Copy entry 12 word for word.
{
  "formula": "Li7Mn2Co3O12",
  "functional": "PBE+U",
  "state": "relaxed",
  "cell": [[5.053, 0.000, 0.000], [-1.659, 4.831, 0.000], [-0.065, -0.094, 8.786]],
  "species": ["Li", "Li", "Li", "Li", "Li", "Li", "Li", "Mn", "Mn", "Co", "Co", "Co", "O", "O", "O", "O", "O", "O", "O", "O", "O", "O", "O", "O"],
  "frac_coords": [[0.000, 0.000, 0.000], [0.001, 0.002, 0.662], [0.491, 0.998, 0.510], [0.494, 0.496, 0.667], [0.495, 0.996, 0.827], [0.501, 0.000, 0.169], [0.988, 0.993, 0.341], [0.500, 0.503, 0.000], [0.993, 0.490, 0.505], [0.496, 0.497, 0.346], [0.997, 0.500, 0.169], [0.999, 0.500, 0.828], [0.217, 0.730, 0.660], [0.223, 0.720, 0.341], [0.230, 0.266, 0.495], [0.248, 0.277, 0.850], [0.261, 0.730, 0.004], [0.269, 0.283, 0.165], [0.739, 0.726, 0.162], [0.744, 0.277, 0.006], [0.744, 0.717, 0.492], [0.746, 0.720, 0.848], [0.758, 0.264, 0.340], [0.770, 0.262, 0.660]],
  "volume_a3_per_atom": 8.9,
  "magnetic_moment_mub_per_fu": 10.00,
  "formation_enthalpy_0k_ev_per_fu": -45.6,
  "e_above_lowest_polymorph_mev_per_atom": 34.1
}